No. 1
## RbHoS2 (PBE-GGA)

Data for crystalline RbHoS2 at its relaxed geometry.

Cell lengths 4.0635, 4.0635, 8.0274 Å; angles 75.34, 75.34, 60.00 degrees
With the nearest neighbours (Å) after each atom.
Atoms (fractional coordinates):
Rb1 0.0000 0.0000 0.0000  6 S 3.34
Ho1 0.5000 0.5000 0.5000  6 S 2.77
S1 0.7697 0.7697 0.6910  3 Ho 2.77
S2 0.2303 0.2303 0.3090  3 Ho 2.77

mass density	4.758	g/cm3
energy of formation	-2.098	eV/atom
E	-5.31	eV/atom

=====

No. 2
## Ho5Rh3 (PBE-GGA)

Data for crystalline Ho5Rh3 at its relaxed geometry.

Cell lengths 8.2160, 8.2160, 6.2917 Å; angles 90.00, 90.00, 120.00 degrees
With the nearest neighbours (Å) after each atom.
Atoms (fractional coordinates):
Ho1 0.0000 0.7514 0.7500  3 Rh 2.86-2.90
Ho2 0.0000 0.2486 0.2500  3 Rh 2.86-2.90
Ho3 0.7514 0.7514 0.2500  3 Rh 2.86-2.90
Ho4 0.7514 0.0000 0.7500  3 Rh 2.86-2.90
Ho5 0.2486 0.2486 0.7500  3 Rh 2.86-2.90
Ho6 0.2486 0.0000 0.2500  3 Rh 2.86-2.90
Ho7 0.3333 0.6667 0.5000  6 Rh 2.97, 2 Ho 3.15
Ho8 0.6667 0.3333 0.0000  6 Rh 2.97, 2 Ho 3.15
Ho9 0.6667 0.3333 0.5000  6 Rh 2.97, 2 Ho 3.15
Ho10 0.3333 0.6667 0.0000  6 Rh 2.97, 2 Ho 3.15
Rh1 0.3985 0.0000 0.7500  7 Ho 2.86-2.97
Rh2 0.3985 0.3985 0.2500  7 Ho 2.86-2.97
Rh3 0.0000 0.6015 0.2500  7 Ho 2.86-2.97
Rh4 0.0000 0.3985 0.7500  7 Ho 2.86-2.97
Rh5 0.6015 0.6015 0.7500  7 Ho 2.86-2.97
Rh6 0.6015 0.0000 0.2500  7 Ho 2.86-2.97

mass density	10.234	g/cm3
energy of formation	-0.736	eV/atom
E	-6.36	eV/atom

=====

No. 3
## HoRh (PBE-GGA)

Data for crystalline HoRh at its relaxed geometry.

Cell lengths 3.4157, 3.4157, 3.4157 Å; angles 90.00, 90.00, 90.00 degrees
With the nearest neighbours (Å) after each atom.
Atoms (fractional coordinates):
Ho1 0.0000 0.0000 0.0000  8 Rh 2.96
Rh1 0.5000 0.5000 0.5000  8 Ho 2.96

mass density	11.161	g/cm3
energy of formation	-0.915	eV/atom
E	-6.89	eV/atom

=====

How do the records compare in calculated volume? In the order shown, they have 27.44 22.99 19.93 Å³/atom.